Material: MnC4Br3N
Method: DFT, GGA-PBE
State: relaxed

Cell lengths 10.1174, 6.3074, 10.6362 Å; angles 90.00, 115.14, 90.00 degrees
With the nearest neighbours (Å) after each atom.
Atoms (fractional coordinates):
Mn (0.9999, 0.0000, 0.9999)  6 Br 2.54-2.56
Mn (0.0001, 0.5000, 0.0001)  6 Br 2.54-2.56
C (0.1779, 0.1321, 0.5488)  2 C 1.37-1.39
C (0.2949, 0.1046, 0.5167)  2 C 1.37-1.39
C (0.3154, 0.2039, 0.6407)  3 C 1.39
C (0.4025, 0.3073, 0.7635)  1 N 1.17
C (0.5975, 0.8073, 0.2365)  1 N 1.17
C (0.6846, 0.7039, 0.3593)  3 C 1.39
C (0.7051, 0.6046, 0.4833)  2 C 1.37-1.39
C (0.8221, 0.6321, 0.4512)  2 C 1.37-1.39
Br (0.0926, 0.7502, 0.8669)  2 Mn 2.55
Br (0.1279, 0.7500, 0.2053)  2 Mn 2.55-2.56
Br (0.2168, 0.2505, 0.0696)  2 Mn 2.54-2.55
Br (0.7832, 0.7505, 0.9304)  2 Mn 2.54-2.55
Br (0.8721, 0.2500, 0.7947)  2 Mn 2.55-2.56
Br (0.9074, 0.2502, 0.1331)  2 Mn 2.55
N (0.4716, 0.4015, 0.8657)  1 C 1.17
N (0.5284, 0.9015, 0.1343)  1 C 1.17

## Properties
Crystal system: monoclinic
Raw total energy: -106.48 eV per cell
Offset from the most stable computed form: 0.000 eV per atom
Energy of formation: 636 meV per atom
Total magnetic moment: 5.0 μB/f.u.

=====

Material: MnC4Br3N
Method: DFT, GGA-PBE
State: relaxed

Cell lengths 8.4066, 6.2392, 8.6917 Å; angles 90.00, 114.45, 90.00 degrees
With the nearest neighbours (Å) after each atom.
Atoms (fractional coordinates):
Mn (0.9997, 0.0000, 0.9999)  6 Br 2.52-2.58
Mn (0.0003, 0.5000, 0.0001)  6 Br 2.52-2.58
C (0.1857, 0.2557, 0.6048)  2 C 1.52-1.61, 1 N 1.55
C (0.3382, 0.2661, 0.5385)  2 C 1.49-1.61, 1 N 1.57
C (0.3456, 0.3997, 0.6836)  3 C 1.43-1.52
C (0.4497, 0.2817, 0.8320)  1 C 1.43, 1 N 1.43
C (0.5503, 0.7817, 0.1680)  1 C 1.43, 1 N 1.43
C (0.6544, 0.8997, 0.3164)  3 C 1.43-1.52
C (0.6618, 0.7661, 0.4615)  2 C 1.49-1.61, 1 N 1.57
C (0.8143, 0.7557, 0.3952)  2 C 1.52-1.61, 1 N 1.55
Br (0.0991, 0.7501, 0.8294)  2 Mn 2.52
Br (0.1645, 0.7506, 0.2472)  2 Mn 2.55
Br (0.2655, 0.2505, 0.0691)  2 Mn 2.58
Br (0.7345, 0.7505, 0.9309)  2 Mn 2.58
Br (0.8355, 0.2506, 0.7528)  2 Mn 2.55
Br (0.9009, 0.2501, 0.1706)  2 Mn 2.52
N (0.3594, 0.1327, 0.6984)  3 C 1.43-1.57
N (0.6406, 0.6327, 0.3016)  3 C 1.43-1.57

## Properties
Crystal system: monoclinic
Raw total energy: -96.27 eV per cell
Offset from the most stable computed form: 0.567 eV per atom
Energy of formation: 1203 meV per atom
Total magnetic moment: 5.0 μB/f.u.

=====

Material: NiC4Br3N
Method: DFT, GGA-PBE
State: relaxed

Cell lengths 9.3323, 6.5195, 9.5190 Å; angles 90.00, 117.17, 90.00 degrees
With the nearest neighbours (Å) after each atom.
Atoms (fractional coordinates):
Ni (0.0020, 0.0000, 0.0017)  4 Br 2.33
Ni (0.9980, 0.5000, 0.9983)  4 Br 2.33
C (0.2254, 0.3899, 0.6986)  1 C 1.30
C (0.2678, 0.8988, 0.5443)  1 N 1.17
C (0.3500, 0.4563, 0.6844)  2 C 1.30
C (0.4988, 0.4672, 0.7088)  1 C 1.30
C (0.5012, 0.9672, 0.2912)  1 C 1.30
C (0.6500, 0.9563, 0.3156)  2 C 1.30
C (0.7322, 0.3988, 0.4557)  1 N 1.17
C (0.7746, 0.8899, 0.3014)  1 C 1.30
Br (0.1445, 0.7490, 0.9434)  2 Ni 2.33
Br (0.1668, 0.7850, 0.3519)  1 C 1.79
Br (0.1999, 0.2529, 0.0767)  2 Ni 2.33
Br (0.8001, 0.7529, 0.9233)  2 Ni 2.33
Br (0.8332, 0.2850, 0.6481)  1 C 1.79
Br (0.8555, 0.2490, 0.0566)  2 Ni 2.33
N (0.3341, 0.9706, 0.6709)  1 C 1.17
N (0.6659, 0.4706, 0.3291)  1 C 1.17

## Properties
Crystal system: monoclinic
Raw total energy: -92.88 eV per cell
Energy of formation: 1016 meV per atom
Total magnetic moment: 0.0 μB/f.u.